Entry 1:
Compound: LiTb6B3O14
Source: Materials Project
Functional: PBE
Structure: relaxed

Properties
corrected total energy (MP2020 scheme) = -8.5528 eV/atom
total magnetic moment = 0.00 μB per formula unit
calculated formation energy = -3593 meV per atom

Cell and atoms, written as POSCAR:
```
LiTb6B3O14
1.0
15.6600 0.0000 0.0000
0.0000 8.4578 0.0000
0.0000 8.1469 8.9251
O Tb B Li
56 24 12 4
Direct
0.2678 0.5525 0.4965
0.9147 0.8532 0.1180
0.9669 0.3031 0.9060
0.0853 0.1468 0.8820
0.4018 0.2981 0.8944
0.5331 0.3031 0.4060
0.4147 0.1468 0.3820
0.7957 0.6414 0.0756
0.4669 0.6969 0.5940
0.2043 0.3586 0.9244
0.7749 0.0535 0.7715
0.7319 0.2762 0.3782
0.2512 0.1170 0.3223
0.1070 0.0521 0.2991
0.9018 0.7019 0.6056
0.7512 0.8830 0.1777
0.5982 0.7019 0.1056
0.2749 0.9465 0.7285
0.0856 0.7140 0.6238
0.3930 0.0521 0.7991
0.7681 0.2762 0.8782
0.8930 0.9479 0.7009
0.2251 0.9465 0.2285
0.9106 0.5274 0.4639
0.7251 0.0535 0.2715
0.0982 0.2981 0.3944
0.9208 0.0654 0.2792
0.7678 0.4475 0.0035
0.5512 0.1773 0.2793
0.2681 0.7238 0.6218
0.0894 0.4726 0.5361
0.7322 0.4475 0.5035
0.4208 0.9346 0.2208
0.5894 0.5274 0.9639
0.2957 0.3586 0.4244
0.7488 0.8830 0.6777
0.0792 0.9346 0.7208
0.6070 0.9479 0.2009
0.2319 0.7238 0.1218
0.9144 0.2860 0.3762
0.4106 0.4726 0.0361
0.5879 0.5248 0.5094
0.0512 0.8227 0.2207
0.4121 0.4752 0.4906
0.4488 0.8227 0.7207
0.2322 0.5525 0.9965
0.5856 0.2860 0.8762
0.5792 0.0654 0.7792
0.5853 0.8532 0.6180
0.2488 0.1170 0.8223
0.0879 0.4752 0.9906
0.9121 0.5248 0.0094
0.9488 0.1773 0.7793
0.4144 0.7140 0.1238
0.7043 0.6414 0.5756
0.0331 0.6969 0.0940
0.3220 0.4490 0.1932
0.1780 0.4490 0.6932
0.3562 0.8482 0.4243
0.5041 0.2383 0.0615
0.1745 0.9851 0.5549
0.8562 0.1518 0.0757
0.8341 0.4121 0.6660
0.8255 0.0149 0.4451
0.6438 0.1518 0.5757
0.6745 0.0149 0.9451
0.8220 0.5510 0.3068
0.0135 0.3345 0.2173
0.1438 0.8482 0.9243
0.4959 0.7617 0.9385
0.3255 0.9851 0.0549
0.3341 0.5879 0.8340
0.9865 0.6655 0.7827
0.1659 0.5879 0.3340
0.6659 0.4121 0.1660
0.9959 0.2383 0.5615
0.6780 0.5510 0.8068
0.5135 0.6655 0.2827
0.4865 0.3345 0.7173
0.0041 0.7617 0.4385
0.8269 0.5442 0.0271
0.6731 0.5442 0.5271
0.4993 0.2086 0.3552
0.9993 0.7914 0.1448
0.1731 0.4558 0.9729
0.8069 0.9582 0.7215
0.3069 0.0418 0.7785
0.5007 0.7914 0.6448
0.3269 0.4558 0.4729
0.1931 0.0418 0.2785
0.6931 0.9582 0.2215
0.0007 0.2086 0.8552
0.8962 0.8802 0.9396
0.3962 0.1198 0.5604
0.1038 0.1198 0.0604
0.6038 0.8802 0.4396
```


Entry 2:
Compound: PrN
Source: Materials Project
Functional: PBE
Structure: relaxed

Properties
corrected total energy (MP2020 scheme) = -7.6657 eV/atom
total magnetic moment = 0.00 μB per formula unit
calculated formation energy = -1107 meV per atom

Cell and atoms, written as POSCAR:
```
PrN
1.0
1.7725 -3.0701 0.0000
1.7725 3.0701 0.0000
0.0000 0.0000 3.2223
Pr N
1 1
Direct
0.0000 0.0000 0.0000
0.6667 0.3333 0.5000
```


Entry 3:
Compound: U2Al9Ir3
Source: Materials Project
Functional: PBE
Structure: relaxed

Properties
calculated formation energy = -627 meV per atom

Cell and atoms, written as POSCAR:
```
U2Al9Ir3
1.0
-4.9057 3.9955 4.2121
-1.7260 -7.1210 -2.0208
4.1009 -3.2147 7.8255
U Al Ir
4 18 6
Direct
0.3311 0.0043 0.2500
0.0043 0.3311 0.2500
0.9957 0.6689 0.7500
0.6689 0.9957 0.7500
0.3348 0.0026 0.5738
0.6652 0.9974 0.4262
0.6650 0.6650 0.5562
0.8725 0.8725 0.2500
0.6612 0.4537 0.2500
0.9974 0.6652 0.4262
0.5463 0.3388 0.7500
0.3348 0.0026 0.9262
0.3388 0.5463 0.7500
0.3350 0.3350 0.0562
0.0026 0.3348 0.5738
0.6652 0.9974 0.0738
0.9974 0.6652 0.0738
0.4537 0.6612 0.2500
0.3350 0.3350 0.4438
0.1275 0.1275 0.7500
0.0026 0.3348 0.9262
0.6650 0.6650 0.9438
0.0000 0.0000 0.5000
0.6728 0.3272 0.5000
0.6728 0.3272 0.0000
0.3272 0.6728 0.5000
0.0000 0.0000 0.0000
0.3272 0.6728 0.0000
```


Entry 4:
Compound: Na3Si3SnO9F
Source: Materials Project
Functional: PBE
Structure: relaxed

Properties
corrected total energy (MP2020 scheme) = -7.0126 eV/atom
calculated formation energy = -2854 meV per atom

Cell and atoms, written as POSCAR:
```
Na3Si3SnO9F
1.0
7.0820 5.3427 0.0000
-7.0820 5.3427 0.0000
0.0000 2.4373 6.1391
O F Si Na Sn
18 2 6 6 2
Direct
0.8408 0.8408 0.4065
0.7735 0.3274 0.1610
0.0170 0.7255 0.1390
0.4793 0.2508 0.5383
0.1592 0.1592 0.5935
0.2508 0.4793 0.5383
0.9750 0.3240 0.4463
0.0250 0.6760 0.5537
0.7492 0.5207 0.4617
0.7255 0.0170 0.1390
0.9830 0.2745 0.8610
0.2265 0.6726 0.8390
0.6726 0.2265 0.8390
0.2745 0.9830 0.8610
0.3240 0.9750 0.4463
0.6760 0.0250 0.5537
0.5207 0.7492 0.4617
0.3274 0.7735 0.1610
0.3509 0.3509 0.0688
0.6491 0.6491 0.9312
0.2138 0.7862 0.0000
0.3127 0.0917 0.6035
0.6873 0.9083 0.3965
0.0917 0.3127 0.6035
0.7862 0.2138 0.0000
0.9083 0.6873 0.3965
0.3938 0.1228 0.0818
0.1228 0.3938 0.0818
0.5105 0.5105 0.7373
0.6062 0.8772 0.9182
0.4895 0.4895 0.2627
0.8772 0.6062 0.9182
0.7245 0.2755 0.5000
0.2755 0.7245 0.5000
```


Entry 5:
Compound: NbBiO4
Source: Materials Project
Functional: PBE
Structure: relaxed

Properties
corrected total energy (MP2020 scheme) = -8.1437 eV/atom
calculated formation energy = -2513 meV per atom

Cell and atoms, written as POSCAR:
```
NbBiO4
1.0
5.1081 0.0000 0.0000
0.0000 5.8301 0.0000
0.0000 0.0000 11.7935
O Bi Nb
16 4 4
Direct
0.4967 0.8564 0.6928
0.9128 0.9207 0.4014
0.0033 0.8564 0.8072
0.5033 0.3564 0.6928
0.4967 0.6436 0.3072
0.9128 0.5793 0.5986
0.4128 0.4207 0.0986
0.9967 0.1436 0.1928
0.0872 0.4207 0.4014
0.5872 0.9207 0.0986
0.9967 0.3564 0.8072
0.5872 0.5793 0.9014
0.5033 0.1436 0.3072
0.0872 0.0793 0.5986
0.0033 0.6436 0.1928
0.4128 0.0793 0.9014
0.7844 0.2500 0.5000
0.2844 0.7500 0.0000
0.2156 0.7500 0.5000
0.7156 0.2500 0.0000
0.2500 0.3460 0.2500
0.7500 0.6540 0.7500
0.2500 0.1540 0.7500
0.7500 0.8460 0.2500
```


Entry 6:
Compound: La2P3Rh3
Source: Materials Project
Functional: PBE
Structure: relaxed

Properties
total magnetic moment = 2.00 μB per formula unit
calculated formation energy = 1097 meV per atom

Cell and atoms, written as POSCAR:
```
La2P3Rh3
1.0
5.8246 0.0000 0.0000
0.0000 5.8246 0.0000
0.0000 0.0000 18.8775
La P Rh
2 3 3
Direct
0.5000 0.5000 0.2379
0.5000 0.5000 0.7621
0.5000 0.5000 0.0000
0.5000 0.5000 0.6139
0.5000 0.5000 0.3861
0.5000 0.5000 0.8770
0.5000 0.5000 0.1230
0.5000 0.5000 0.5000
```


The highest calculated formation energy belongs to which entry? La2P3Rh3


Which value of calculated formation energy does entry 3 give? -627 meV per atom